(1)
The following is a PBE calculation of a relaxed Al2O3 crystal, from the Materials Project database.

abc: 10.0015 10.6084 10.6221
angles: 92.89 90.64 92.54
Space group P1 (No. 1)
One atom of each set of equivalent atoms:
Al (0.0000, 0.0000, 0.0000)
Al (0.0013, 0.9601, 0.2730)
Al (0.0126, 0.6708, 0.4035)
Al (0.0394, 0.1816, 0.7401)
Al (0.0649, 0.7312, 0.8803)
Al (0.1212, 0.1184, 0.4974)
Al (0.1571, 0.5163, 0.0897)
Al (0.1664, 0.2081, 0.2007)
Al (0.1933, 0.4848, 0.3849)
Al (0.1951, 0.9695, 0.7295)
Al (0.2203, 0.8373, 0.2258)
Al (0.3064, 0.7638, 0.5112)
Al (0.3288, 0.4928, 0.7609)
Al (0.3422, 0.1921, 0.8194)
Al (0.3502, 0.6825, 0.0022)
Al (0.3617, 0.2268, 0.3782)
Al (0.3646, 0.3645, 0.0244)
Al (0.4241, 0.0364, 0.5671)
Al (0.4855, 0.5146, 0.2114)
Al (0.4882, 0.5346, 0.5083)
Al (0.4964, 0.0943, 0.1339)
Al (0.5035, 0.8102, 0.2647)
Al (0.5204, 0.0204, 0.8396)
Al (0.5251, 0.7165, 0.7368)
Al (0.5608, 0.3039, 0.6498)
Al (0.6100, 0.3046, 0.9823)
Al (0.6428, 0.3082, 0.3380)
Al (0.6891, 0.9266, 0.0719)
Al (0.6971, 0.6309, 0.3328)
Al (0.7136, 0.9561, 0.6852)
Al (0.7158, 0.9470, 0.4250)
Al (0.7620, 0.2520, 0.7947)
Al (0.7918, 0.6110, 0.6155)
Al (0.8053, 0.7454, 0.8759)
Al (0.8133, 0.1533, 0.2351)
Al (0.8873, 0.3314, 0.5187)
Al (0.9466, 0.2937, 0.0271)
Al (0.9489, 0.4616, 0.2446)
Al (0.9573, 0.8651, 0.6352)
Al (0.9927, 0.4787, 0.7615)
O (0.0022, 0.4383, 0.4107)
O (0.0063, 0.2233, 0.5774)
O (0.0299, 0.0474, 0.8347)
O (0.0612, 0.1641, 0.0563)
O (0.0691, 0.8177, 0.3292)
O (0.0806, 0.9816, 0.5849)
O (0.0832, 0.1075, 0.3279)
O (0.1109, 0.8151, 0.7464)
O (0.1145, 0.9414, 0.1399)
O (0.1209, 0.5592, 0.2494)
O (0.1605, 0.5068, 0.7341)
O (0.1720, 0.6548, 0.9837)
O (0.1779, 0.6410, 0.4764)
O (0.2084, 0.1671, 0.7109)
O (0.2178, 0.3481, 0.1115)
O (0.2221, 0.3175, 0.3558)
O (0.3022, 0.1130, 0.4784)
O (0.3207, 0.9052, 0.6104)
O (0.3266, 0.3625, 0.8610)
O (0.3356, 0.0189, 0.8435)
O (0.3454, 0.5424, 0.0897)
O (0.3476, 0.8216, 0.3554)
O (0.3522, 0.1501, 0.2202)
O (0.3591, 0.8042, 0.1221)
O (0.3882, 0.5161, 0.3651)
O (0.4086, 0.6415, 0.8446)
O (0.4340, 0.6777, 0.5884)
O (0.4462, 0.2078, 0.9832)
O (0.4465, 0.4380, 0.6398)
O (0.4662, 0.1597, 0.6941)
O (0.5138, 0.2875, 0.4502)
O (0.5297, 0.4114, 0.0801)
O (0.5576, 0.8822, 0.7450)
O (0.5621, 0.0105, 0.9981)
O (0.5644, 0.6629, 0.2100)
O (0.5768, 0.9551, 0.2134)
O (0.5824, 0.0081, 0.5136)
O (0.6103, 0.3408, 0.8201)
O (0.6346, 0.1980, 0.2002)
O (0.6384, 0.4613, 0.2894)
O (0.6554, 0.7941, 0.3781)
O (0.6640, 0.5740, 0.4977)
O (0.6853, 0.6516, 0.7460)
O (0.6885, 0.7809, 0.9917)
O (0.6938, 0.0888, 0.7905)
O (0.7368, 0.2788, 0.6274)
O (0.7772, 0.2647, 0.9718)
O (0.7913, 0.2503, 0.3915)
O (0.8236, 0.9538, 0.5576)
O (0.8307, 0.8551, 0.7550)
O (0.8370, 0.0045, 0.3160)
O (0.8392, 0.0299, 0.0889)
O (0.8702, 0.6102, 0.2970)
O (0.8862, 0.4735, 0.6281)
O (0.9087, 0.2951, 0.1951)
O (0.9177, 0.7153, 0.5441)
O (0.9294, 0.6190, 0.8375)
O (0.9553, 0.3120, 0.8193)
O (0.9585, 0.8314, 0.9651)
O (0.9883, 0.4599, 0.0596)

total magnetic moment	0.00	μB per formula unit
calculated volume	11.2	A^3/atom
total energy after the MP2020 corrections	-0.5643	Ry per atom

***

(2)
The following is a PBE calculation of a relaxed CrN2 crystal, from the Materials Project database.

abc: 9.9040 9.9040 9.9280
angles: 90.00 90.00 90.00
Space group P4_12_12 (No. 92)
One atom of each set of equivalent atoms:
Cr (0.0068, 0.3661, 0.3999)
Cr (0.1895, 0.8105, 0.7500)
N (0.0066, 0.5607, 0.0502)
N (0.0650, 0.7981, 0.8680)
N (0.1717, 0.3214, 0.3855)

total magnetic moment	0.00	μB per formula unit
calculated volume	27.1	A^3/atom
total energy after the MP2020 corrections	-0.6368	Ry per atom

***

(3)
The following is a PBE calculation of a relaxed Mn crystal, from the Materials Project database.

abc: 3.5095 3.5095 3.5095
angles: 90.00 90.00 90.00
Space group Fm-3m (No. 225)
One atom of each set of equivalent atoms:
Mn (0.0000, 0.0000, 0.0000)

distance to the lowest polymorph of the same formula	83	meV per atom
calculated volume	10.8	A^3/atom

***

(4)
The following is a PBE calculation of a relaxed BaLiTbSbO6 crystal, from the Materials Project database.

abc: 8.4716 8.4716 8.4716
angles: 90.00 90.00 90.00
Space group F-43m (No. 216)
One atom of each set of equivalent atoms:
Ba (0.0000, 0.0000, 0.0000)
Li (0.0000, 0.0000, 0.5000)
Tb (0.2500, 0.2500, 0.7500)
Sb (0.2500, 0.2500, 0.2500)
O (0.0144, 0.2500, 0.2500)

distance to the lowest polymorph of the same formula	0	meV per atom
total magnetic moment	1.00	μB per formula unit
calculated volume	15.2	A^3/atom
total energy after the MP2020 corrections	-0.5005	Ry per atom

***

(5)
The following is a PBE calculation of a relaxed Na14Ta4Ga4Si11SO48 crystal, from the Materials Project database.

abc: 8.9737 15.5659 22.2451
angles: 90.17 90.06 90.04
Space group P1 (No. 1)
One atom of each set of equivalent atoms:
Na (0.0000, 0.0000, 0.0000)
Na (0.0002, 0.9661, 0.3325)
Na (0.1183, 0.8345, 0.8341)
Na (0.1324, 0.8074, 0.1662)
Na (0.1344, 0.4658, 0.8340)
Na (0.1338, 0.4961, 0.4991)
Na (0.1359, 0.1701, 0.1645)
Na (0.1758, 0.1568, 0.8325)
Na (0.1795, 0.4794, 0.1638)
Na (0.3037, 0.9828, 0.4120)
Na (0.3100, 0.3187, 0.7486)
Na (0.3111, 0.6520, 0.0825)
Na (0.3123, 0.3178, 0.2490)
Na (0.3169, 0.9874, 0.9206)
Na (0.3199, 0.6544, 0.5860)
Na (0.4367, 0.4867, 0.6654)
Na (0.4382, 0.1517, 0.3298)
Na (0.4434, 0.8249, 0.0005)
Na (0.4889, 0.4965, 0.9996)
Na (0.4959, 0.8408, 0.3327)
Na (0.4975, 0.7981, 0.6656)
Na (0.4987, 0.1716, 0.6674)
Na (0.4997, 0.4649, 0.3327)
Na (0.6190, 0.3030, 0.1640)
Na (0.6210, 0.3331, 0.8342)
Na (0.6316, 0.6665, 0.1670)
Na (0.6337, 0.9966, 0.4991)
Na (0.6354, 0.9657, 0.8341)
Na (0.6662, 0.9875, 0.1660)
Na (0.6794, 0.6584, 0.8335)
Na (0.8018, 0.1552, 0.0810)
Na (0.8036, 0.4822, 0.4124)
Na (0.8107, 0.8194, 0.7494)
Na (0.8114, 0.8199, 0.2541)
Na (0.8146, 0.4807, 0.9163)
Na (0.8199, 0.1543, 0.5860)
Na (0.9366, 0.9869, 0.6658)
Na (0.9388, 0.6514, 0.3314)
Na (0.9909, 0.6371, 0.9980)
Na (0.9973, 0.2977, 0.6657)
Na (0.9968, 0.3395, 0.3325)
Na (0.9986, 0.6718, 0.6674)
Ta (0.3036, 0.9804, 0.5623)
Ta (0.3094, 0.6517, 0.9351)
Ta (0.3094, 0.9859, 0.7688)
Ta (0.3118, 0.6526, 0.2304)
Ta (0.3226, 0.6535, 0.4361)
Ta (0.8031, 0.1543, 0.9348)
Ta (0.8034, 0.4802, 0.5623)
Ta (0.8090, 0.1529, 0.2293)
Ta (0.8107, 0.4860, 0.7683)
Ta (0.8114, 0.8213, 0.1018)
Ta (0.8118, 0.4803, 0.0612)
Ta (0.8231, 0.1536, 0.4359)
Ga (0.3002, 0.3254, 0.6035)
Ga (0.3068, 0.3275, 0.3944)
Ga (0.3116, 0.6524, 0.7301)
Ga (0.3122, 0.9869, 0.2671)
Ga (0.3144, 0.3256, 0.8951)
Ga (0.3207, 0.3227, 0.1033)
Ga (0.3205, 0.9825, 0.0681)
Ga (0.8001, 0.8257, 0.6037)
Ga (0.8069, 0.8281, 0.3949)
Ga (0.8106, 0.8207, 0.8970)
Ga (0.8118, 0.1521, 0.7306)
Ga (0.8120, 0.4846, 0.2682)
Si (0.0200, 0.6548, 0.8298)
Si (0.0277, 0.3181, 0.4994)
Si (0.0296, 0.9869, 0.1651)
Si (0.1027, 0.8228, 0.9973)
Si (0.1048, 0.4873, 0.6645)
Si (0.1098, 0.1528, 0.3315)
Si (0.1610, 0.8363, 0.6660)
Si (0.1617, 0.5062, 0.3335)
Si (0.1620, 0.7999, 0.3337)
Si (0.1649, 0.1340, 0.6647)
Si (0.1673, 0.4586, 0.9989)
Si (0.4490, 0.1300, 0.1653)
Si (0.4543, 0.4603, 0.4986)
Si (0.4540, 0.5070, 0.8298)
Si (0.4540, 0.8426, 0.1666)
Si (0.4590, 0.7965, 0.8305)
Si (0.5188, 0.1548, 0.8301)
Si (0.5234, 0.4843, 0.1677)
Si (0.5277, 0.8182, 0.4994)
Si (0.5939, 0.3159, 0.9992)
Si (0.6043, 0.9874, 0.6648)
Si (0.6106, 0.6525, 0.3324)
Si (0.6598, 0.9663, 0.9970)
Si (0.6609, 0.3362, 0.6661)
Si (0.6619, 0.0065, 0.3335)
Si (0.6619, 0.2996, 0.3338)
Si (0.6649, 0.6340, 0.6647)
Si (0.6675, 0.6746, 0.9969)
Si (0.9522, 0.0074, 0.8314)
Si (0.9542, 0.6290, 0.1672)
Si (0.9545, 0.9605, 0.4987)
Si (0.9601, 0.2959, 0.8306)
Si (0.9610, 0.3407, 0.1678)
S (0.1679, 0.1744, 0.9985)
S (0.4554, 0.1746, 0.4990)
S (0.9554, 0.6744, 0.4988)
O (0.1214, 0.3017, 0.5602)
O (0.1225, 0.6616, 0.4936)
O (0.1244, 0.0055, 0.1047)
O (0.1239, 0.3385, 0.4393)
O (0.1239, 0.6712, 0.7723)
O (0.1240, 0.9637, 0.2247)
O (0.1270, 0.6353, 0.8901)
O (0.1361, 0.9764, 0.5060)
O (0.1369, 0.9999, 0.8266)
O (0.1371, 0.6402, 0.1710)
O (0.1385, 0.3070, 0.8395)
O (0.1378, 0.3273, 0.1569)
O (0.1903, 0.2260, 0.0535)
O (0.1919, 0.4061, 0.9376)
O (0.1924, 0.9018, 0.7240)
O (0.1952, 0.5697, 0.3910)
O (0.1948, 0.7367, 0.2737)
O (0.2014, 0.0666, 0.6094)
O (0.2020, 0.3997, 0.6630)
O (0.2037, 0.0649, 0.3275)
O (0.2038, 0.5735, 0.6699)
O (0.2053, 0.7335, 0.9937)
O (0.2075, 0.2391, 0.3395)
O (0.2073, 0.9071, 0.0048)
O (0.2292, 0.0861, 0.0024)
O (0.2287, 0.2141, 0.9435)
O (0.2406, 0.5584, 0.9923)
O (0.2435, 0.0859, 0.7241)
O (0.2425, 0.5546, 0.2748)
O (0.2444, 0.7475, 0.3885)
O (0.2439, 0.8916, 0.3279)
O (0.2445, 0.4139, 0.3349)
O (0.2453, 0.7453, 0.6702)
O (0.2447, 0.8867, 0.6097)
O (0.2464, 0.4221, 0.0589)
O (0.2495, 0.2256, 0.6596)
O (0.3736, 0.5573, 0.4916)
O (0.3753, 0.0912, 0.2263)
O (0.3745, 0.8764, 0.1061)
O (0.3759, 0.4225, 0.5588)
O (0.3763, 0.5499, 0.7724)
O (0.3765, 0.7518, 0.8905)
O (0.3768, 0.8917, 0.8265)
O (0.3790, 0.2266, 0.1589)
O (0.3830, 0.7444, 0.1729)
O (0.3838, 0.4118, 0.8364)
O (0.3914, 0.0847, 0.5044)
O (0.3915, 0.2117, 0.4443)
O (0.4100, 0.2363, 0.8411)
O (0.4126, 0.7354, 0.4919)
O (0.4145, 0.4018, 0.1617)
O (0.4183, 0.0656, 0.8266)
O (0.4182, 0.5724, 0.1716)
O (0.4227, 0.9068, 0.5062)
O (0.4290, 0.5690, 0.8906)
O (0.4317, 0.2254, 0.5540)
O (0.4319, 0.4054, 0.4377)
O (0.4330, 0.7362, 0.7726)
O (0.4364, 0.0653, 0.1086)
O (0.4379, 0.9013, 0.2258)
O (0.4813, 0.9732, 0.0054)
O (0.4822, 0.3032, 0.3387)
O (0.4824, 0.3311, 0.6584)
O (0.4831, 0.9998, 0.3283)
O (0.4846, 0.6647, 0.9940)
O (0.4860, 0.6387, 0.6700)
O (0.4913, 0.9708, 0.7232)
O (0.4931, 0.0021, 0.6068)
O (0.4927, 0.6363, 0.3883)
O (0.4969, 0.6693, 0.2742)
O (0.4990, 0.3377, 0.9392)
O (0.5017, 0.3027, 0.0605)
O (0.6211, 0.1736, 0.7722)
O (0.6224, 0.1616, 0.4938)
O (0.6215, 0.8015, 0.5602)
O (0.6238, 0.8381, 0.4392)
O (0.6255, 0.4680, 0.2258)
O (0.6278, 0.5041, 0.1077)
O (0.6305, 0.1343, 0.8884)
O (0.6353, 0.1409, 0.1730)
O (0.6359, 0.4765, 0.5060)
O (0.6368, 0.8084, 0.8386)
O (0.6372, 0.8292, 0.1589)
O (0.6380, 0.4998, 0.8271)
O (0.6877, 0.9047, 0.9396)
O (0.6924, 0.4019, 0.7241)
O (0.6941, 0.7348, 0.0572)
O (0.6953, 0.2367, 0.2744)
O (0.6958, 0.0694, 0.3914)
O (0.7008, 0.4044, 0.0062)
O (0.7014, 0.5666, 0.6094)
O (0.7018, 0.8998, 0.6630)
O (0.7035, 0.0735, 0.6702)
O (0.7050, 0.5651, 0.3279)
O (0.7078, 0.7393, 0.3392)
O (0.7095, 0.2340, 0.9921)
O (0.7391, 0.5783, 0.0056)
O (0.7421, 0.9192, 0.0566)
O (0.7427, 0.0541, 0.2749)
O (0.7439, 0.3916, 0.3282)
O (0.7435, 0.5856, 0.7241)
O (0.7452, 0.2453, 0.6703)
O (0.7448, 0.2479, 0.3889)
O (0.7446, 0.3867, 0.6098)
O (0.7447, 0.9138, 0.3349)
O (0.7466, 0.7150, 0.9391)
O (0.7495, 0.7255, 0.6596)
O (0.7523, 0.0584, 0.9934)
O (0.8737, 0.0572, 0.4917)
O (0.8742, 0.5907, 0.2257)
O (0.8748, 0.2504, 0.8884)
O (0.8752, 0.3869, 0.1099)
O (0.8756, 0.0497, 0.7730)
O (0.8759, 0.9223, 0.5587)
O (0.8781, 0.2459, 0.1713)
O (0.8788, 0.3918, 0.8264)
O (0.8830, 0.7262, 0.1582)
O (0.8826, 0.9119, 0.8383)
O (0.8916, 0.5847, 0.5042)
O (0.8916, 0.7116, 0.4441)
O (0.9127, 0.2354, 0.4921)
O (0.9133, 0.7375, 0.8380)
O (0.9157, 0.0704, 0.1722)
O (0.9158, 0.9017, 0.1580)
O (0.9189, 0.5654, 0.8267)
O (0.9225, 0.4068, 0.5063)
O (0.9279, 0.5695, 0.1070)
O (0.9302, 0.0704, 0.8911)
O (0.9318, 0.7254, 0.5539)
O (0.9325, 0.9053, 0.4377)
O (0.9353, 0.2372, 0.7717)
O (0.9381, 0.4015, 0.2258)
O (0.9820, 0.8028, 0.3382)
O (0.9825, 0.8309, 0.6583)
O (0.9829, 0.5004, 0.3277)
O (0.9859, 0.1387, 0.6699)
O (0.9861, 0.4779, 0.0055)
O (0.9920, 0.4709, 0.7231)
O (0.9928, 0.1363, 0.3881)
O (0.9930, 0.5022, 0.6068)
O (0.9955, 0.8023, 0.0568)
O (0.9958, 0.1696, 0.2737)
O (0.9978, 0.1640, 0.9933)
O (0.9993, 0.8368, 0.9392)

total magnetic moment	0.00	μB per formula unit
calculated volume	12.6	A^3/atom
total energy after the MP2020 corrections	-0.5457	Ry per atom

***

no.,energy relative to the elements (eV/atom)
1,-3.21
2,0.11
3,0.08
4,-2.58
5,-2.80